[1]
Computed, not measured: Na3YHf3P6O24 after structural relaxation at the GGA-PBE level of DFT.

Cell lengths 8.9890, 8.9959, 23.1782 Å; angles 89.88, 90.10, 120.33 degrees
Atoms (fractional coordinates):
O1 0.8410 0.5431 0.7485
O2 0.4725 0.1082 0.6371
P1 0.6996 0.7052 0.2491
O3 0.8489 0.3067 0.5269
Hf1 0.9965 0.9970 0.1464
O4 0.3607 0.4872 0.3602
O5 0.5328 0.8244 0.7574
O6 0.5327 0.6890 0.9670
O7 0.6374 0.1441 0.4235
O8 0.7944 0.8178 0.1955
O9 0.8203 0.0081 0.8059
Na1 0.3198 0.6670 0.6650
O10 0.4664 0.3650 0.1396
Hf2 0.3272 0.6671 0.8153
O11 0.1778 0.4738 0.2559
O12 0.0203 0.8151 0.4183
O13 0.7983 0.9707 0.6976
O14 0.8464 0.5383 0.0287
O15 0.1277 0.4881 0.8627
O16 0.6904 0.1513 0.7501
O17 0.1528 0.4624 0.9696
P2 0.3672 0.3326 0.0829
P3 0.0391 0.3756 0.9170
O18 0.9868 0.2002 0.3097
Y1 0.6761 0.3333 0.1802
O19 0.4685 0.3212 0.7492
O20 0.8870 0.3637 0.6346
O21 0.4608 0.1534 0.5300
P4 0.3422 0.3848 0.4168
O22 0.5126 0.6556 0.5741
O23 0.1472 0.4869 0.5728
Na2 0.9998 0.0000 0.0025
O24 0.4698 0.1566 0.2431
O25 0.1880 0.0210 0.5879
O26 0.1293 0.6369 0.3642
O27 0.3039 0.8309 0.2551
Hf3 0.6603 0.3341 0.4830
O28 0.8015 0.7826 0.3042
O29 0.6401 0.5016 0.9231
O30 0.8998 0.5316 0.1356
O31 0.3243 0.4816 0.4685
O32 0.3599 0.8717 0.8624
O33 0.6374 0.5307 0.6412
O34 0.8336 0.8117 0.5888
O35 0.0207 0.1959 0.9099
O36 0.3402 0.8533 0.5732
P5 0.0073 0.7201 0.7516
O37 0.8635 0.4894 0.4240
P6 0.3362 0.9590 0.9168
O38 0.9882 0.8120 0.8048
O39 0.1686 0.7005 0.7572
P7 0.6228 0.6634 0.9152
P8 0.9634 0.3313 0.5809
O40 0.5148 0.6400 0.8596
O41 0.9810 0.8139 0.0867
Hf4 0.3362 0.6752 0.3136
O42 0.3032 0.4745 0.7569
O43 0.1750 0.9778 0.9098
O44 0.3094 0.8451 0.9693
Na3 0.6680 0.3340 0.3286
Y2 0.6676 0.3247 0.6854
O45 0.8523 0.3241 0.2466
O46 0.1762 0.9743 0.1954
O47 0.5125 0.8525 0.0699
O48 0.1791 0.2042 0.6966
P9 0.6687 0.6314 0.5849
O49 0.1515 0.6720 0.4720
Hf5 0.0030 0.0026 0.8563
O50 0.2120 0.0245 0.3033
P10 0.3665 0.0348 0.5825
Na4 0.6351 0.6309 0.7490
Na5 0.3324 0.6793 0.1639
Hf6 0.0030 0.0040 0.6461
Y3 0.9969 0.9872 0.3542
P11 0.0044 0.2955 0.2528
P12 0.2847 0.2922 0.7519
O51 0.0265 0.8262 0.6963
Na6 0.3614 0.3556 0.2468
O52 0.8046 0.8252 0.9095
O53 0.5275 0.8529 0.4718
O54 0.1489 0.6607 0.0699
P13 0.9678 0.6354 0.0804
O55 0.8332 0.0214 0.0874
P14 0.2904 0.9960 0.2490
Hf7 0.3338 0.6654 0.0170
P15 0.0425 0.6590 0.4194
O56 0.5142 0.8737 0.3634
O57 0.5039 0.3670 0.4238
O58 0.0276 0.1980 0.2006
O59 0.5194 0.6927 0.2542
O60 0.6631 0.5193 0.2441
Na7 0.0005 0.9878 0.5009
Hf8 0.3373 0.6685 0.5206
O61 0.9771 0.1669 0.5880
Hf9 0.6662 0.3342 0.9816
O62 0.1933 0.1833 0.8055
O63 0.6909 0.5333 0.5333
O64 0.8029 0.9914 0.4170
O65 0.6318 0.1020 0.1358
O66 0.4674 0.3095 0.0320
P16 0.7122 0.9944 0.7525
O67 0.4978 0.1402 0.9234
O68 0.3443 0.4891 0.0709
O69 0.6927 0.1560 0.0290
O70 0.1761 0.2080 0.4159
O71 0.1862 0.1678 0.0879
P17 0.6194 0.9626 0.4188
Na8 0.9700 0.2984 0.4151
P18 0.6678 0.0345 0.0807
Na9 0.6670 0.3205 0.8348
O72 0.8590 0.3569 0.9233

The energy of formation comes out at -3.197 eV per atom. The total magnetic moment comes out at 0.00 μB per formula unit. For the theoretical density, the calculation gives 3.9 g/cm3.

[2]
Computed, not measured: Na2YHfP3O12 after structural relaxation at the GGA-PBE level of DFT.

Cell lengths 9.1240, 9.1240, 23.4579 Å; angles 89.92, 90.08, 120.50 degrees
Atoms (fractional coordinates):
O1 0.3628 0.4887 0.3607
Na1 0.0311 0.6928 0.5828
O2 0.1772 0.4727 0.2565
O3 0.8086 0.0011 0.4103
Hf1 0.6689 0.3420 0.9820
O4 0.5113 0.6372 0.8607
O5 0.8458 0.5407 0.0299
O6 0.0295 0.8220 0.6940
O7 0.9844 0.1959 0.3065
Hf2 0.6580 0.3311 0.4820
O8 0.7989 0.8212 0.9095
P1 0.6266 0.9676 0.4164
O9 0.5125 0.8740 0.3633
Na2 0.9997 0.9990 0.4989
P2 0.3392 0.3776 0.4152
Y1 0.3443 0.6689 0.5185
O10 0.1940 0.1561 0.0898
O11 0.1791 0.2073 0.6966
O12 0.6410 0.1239 0.1338
O13 0.4649 0.3018 0.0328
O14 0.3077 0.4572 0.4671
Hf3 0.0023 0.0086 0.6487
P3 0.0379 0.6603 0.4188
Hf4 0.9914 0.9977 0.1487
P4 0.6726 0.0442 0.0818
Na3 0.6664 0.3323 0.8323
Y2 0.6644 0.3224 0.6852
O15 0.4753 0.3344 0.7436
O16 0.7927 0.8209 0.1966
P5 0.3713 0.3269 0.0855
Y3 0.9977 0.9891 0.3518
P6 0.2891 0.9941 0.2485
O17 0.5196 0.6906 0.2559
O18 0.8823 0.5285 0.1360
Hf5 0.3247 0.6644 0.8153
O19 0.0315 0.2017 0.1995
O20 0.1780 0.9705 0.1940
O21 0.6428 0.1470 0.4226
O22 0.8454 0.5344 0.7429
P7 0.0059 0.7109 0.7485
O23 0.5105 0.1393 0.9232
P8 0.6991 0.7067 0.2498
O24 0.1316 0.6352 0.3662
P9 0.3397 0.9621 0.9188
O25 0.2095 0.0257 0.3005
Y4 0.6776 0.3356 0.1852
O26 0.1382 0.4511 0.9694
O27 0.1863 0.0239 0.5893
O28 0.4708 0.3489 0.1398
O29 0.8447 0.3039 0.5273
Y5 0.0109 0.0023 0.8518
O30 0.5273 0.8228 0.7565
O31 0.8607 0.4895 0.4232
O32 0.3458 0.4780 0.0786
O33 0.9989 0.1914 0.9103
P10 0.0324 0.3734 0.9164
O34 0.1322 0.4879 0.5762
Na4 0.3644 0.3595 0.2495
O35 0.1419 0.6678 0.0769
O36 0.7983 0.9685 0.6995
O37 0.3044 0.8324 0.2568
O38 0.5220 0.6542 0.5786
O39 0.8048 0.7844 0.3027
O40 0.6982 0.5351 0.5328
O41 0.1676 0.6956 0.7568
Hf6 0.3356 0.6753 0.3153
O42 0.9761 0.8137 0.0893
O43 0.6961 0.1553 0.0273
Na5 0.6405 0.6356 0.7495
O44 0.2156 0.1952 0.8027
P11 0.7046 0.9936 0.7522
O45 0.1260 0.4875 0.8633
O46 0.3648 0.8684 0.8662
O47 0.8439 0.8060 0.5898
O48 0.5121 0.8678 0.0762
P12 0.6224 0.6608 0.9152
Na6 0.3343 0.6670 0.6656
O49 0.3094 0.4804 0.7559
O50 0.8530 0.3572 0.9226
O51 0.5489 0.8618 0.4694
Na7 0.6977 0.0261 0.9161
Na8 0.0010 0.0003 0.9989
O52 0.1374 0.6822 0.4731
P13 0.3658 0.0401 0.5831
O53 0.4593 0.1542 0.5299
Na9 0.3072 0.9689 0.0828
O54 0.8342 0.0289 0.0901
O55 0.0124 0.8113 0.4120
O56 0.6378 0.4991 0.9234
O57 0.4715 0.1177 0.6360
O58 0.6511 0.5292 0.6398
O59 0.6656 0.5247 0.2436
P14 0.0064 0.2954 0.2522
Na10 0.9739 0.3023 0.4161
Y6 0.3311 0.6557 0.0185
O60 0.8761 0.3590 0.6338
O61 0.8041 0.0156 0.8065
O62 0.6791 0.1447 0.7453
O63 0.5009 0.3622 0.4234
O64 0.9743 0.7905 0.8005
P15 0.9599 0.6342 0.0831
O65 0.8553 0.3209 0.2453
P16 0.6731 0.6287 0.5855
O66 0.9711 0.1658 0.5901
P17 0.2933 0.3009 0.7498
Na11 0.6677 0.3336 0.3323
O67 0.3178 0.8626 0.9731
O68 0.1887 0.9876 0.9120
O69 0.1788 0.2011 0.4095
P18 0.9558 0.3274 0.5818
O70 0.3322 0.8581 0.5769
O71 0.5428 0.6923 0.9671
O72 0.4656 0.1546 0.2429
Na12 0.3330 0.6657 0.1656

The energy of formation comes out at -3.141 eV per atom. The total magnetic moment comes out at 0.00 μB per formula unit. For the theoretical density, the calculation gives 3.5 g/cm3.